(1)
# Li2Si4NiO10 PBE+U optimized geometry
data_Li2Si4NiO10
_chemical_formula_sum 'Li8 Si16 Ni4 O40'
_cell_length_a 6.674
_cell_length_b 9.964
_cell_length_c 15.440
_cell_angle_alpha 90.00
_cell_angle_beta 113.85
_cell_angle_gamma 90.00
_symmetry_space_group_name_H-M 'P 1 21/c 1'
_symmetry_Int_Tables_number 14
loop_
_symmetry_equiv_pos_as_xyz
'x,y,z'
'-x,-y,-z'
'-x,y+1/2,-z+1/2'
'x,-y+1/2,z+1/2'
loop_
_atom_site_label
_atom_site_fract_x
_atom_site_fract_y
_atom_site_fract_z
Li1 0.026 0.123 0.431
Li2 0.473 0.585 0.263
Si1 0.085 0.028 0.833
Si2 0.208 0.736 0.455
Si3 0.343 0.552 0.842
Si4 0.352 0.228 0.368
Ni1 0.213 0.137 0.672
O1 0.009 0.672 0.957
O2 0.127 0.584 0.416
O3 0.169 0.177 0.886
O4 0.181 0.550 0.728
O5 0.209 0.505 0.266
O6 0.275 0.077 0.395
O7 0.309 0.696 0.884
O8 0.341 0.222 0.262
O9 0.403 0.725 0.560
O10 0.411 0.022 0.644
# ΔE to the lowest computed polymorph ... 46 kJ/mol of formula units
# DFT formation energy ... -2.805 eV per atom
# Crystal system ... monoclinic
# Raw total energy ... -476.2 eV per cell
# M_tot ... 2.0 μB per formula unit

(2)
# BaSr4Fe5O15 PBE+U optimized geometry
data_BaSr4Fe5O15
_chemical_formula_sum 'Ba2 Sr8 Fe10 O30'
_cell_length_a 5.581
_cell_length_b 27.874
_cell_length_c 3.938
_cell_angle_alpha 90.00
_cell_angle_beta 90.00
_cell_angle_gamma 90.00
_symmetry_space_group_name_H-M 'C m m m'
_symmetry_Int_Tables_number 65
_symmetry_space_group_name_Hall '-C 2 2'
loop_
_atom_site_label
_atom_site_fract_x
_atom_site_fract_y
_atom_site_fract_z
Ba1 0.000 0.000 0.000
Sr1 0.000 0.200 0.000
Sr2 0.000 0.399 0.000
Fe1 0.000 0.101 0.500
Fe2 0.000 0.300 0.500
Fe3 0.000 0.500 0.500
O1 0.000 0.103 0.000
O2 0.000 0.300 0.000
O3 0.000 0.500 0.000
O4 0.245 0.448 0.500
O5 0.250 0.151 0.500
O6 0.250 0.250 0.500
# ΔE to the lowest computed polymorph ... 1 kJ/mol of formula units
# DFT formation energy ... -2.205 eV per atom
# Crystal system ... orthorhombic
# Raw total energy ... -317.6 eV per cell
# M_tot ... 21.0 μB per formula unit

Q: What is the DFT formation energy in the first record?
A: -2.805 eV per atom

Q: The highest DFT formation energy belongs to which entry?
A: BaSr4Fe5O15

Copy entry 2 word for word.
# BaSr4Fe5O15 PBE+U optimized geometry
data_BaSr4Fe5O15
_chemical_formula_sum 'Ba2 Sr8 Fe10 O30'
_cell_length_a 5.581
_cell_length_b 27.874
_cell_length_c 3.938
_cell_angle_alpha 90.00
_cell_angle_beta 90.00
_cell_angle_gamma 90.00
_symmetry_space_group_name_H-M 'C m m m'
_symmetry_Int_Tables_number 65
_symmetry_space_group_name_Hall '-C 2 2'
loop_
_atom_site_label
_atom_site_fract_x
_atom_site_fract_y
_atom_site_fract_z
Ba1 0.000 0.000 0.000
Sr1 0.000 0.200 0.000
Sr2 0.000 0.399 0.000
Fe1 0.000 0.101 0.500
Fe2 0.000 0.300 0.500
Fe3 0.000 0.500 0.500
O1 0.000 0.103 0.000
O2 0.000 0.300 0.000
O3 0.000 0.500 0.000
O4 0.245 0.448 0.500
O5 0.250 0.151 0.500
O6 0.250 0.250 0.500
# ΔE to the lowest computed polymorph ... 1 kJ/mol of formula units
# DFT formation energy ... -2.205 eV per atom
# Crystal system ... orthorhombic
# Raw total energy ... -317.6 eV per cell
# M_tot ... 21.0 μB per formula unit

Q: Which value of ΔE to the lowest computed polymorph does entry 2 give?
A: 1 kJ/mol of formula units